No. 1
VASP calculation (PBE) on a relaxed structure of SiC.

Calculated values
- Crystal system: trigonal
- ΔE_f: -0.203 eV/atom

CIF file:
```
data_SiC
_chemical_formula_sum 'Si27 C27'
_cell_length_a 3.0947
_cell_length_b 3.0947
_cell_length_c 68.3321
_cell_angle_alpha 90.00
_cell_angle_beta 90.00
_cell_angle_gamma 120.00
_space_group_name_H-M_alt 'P 3 m 1'
_space_group_IT_number 156
_space_group_name_Hall 'P 3 -2"'
loop_
_atom_site_label
_atom_site_fract_x
_atom_site_fract_y
_atom_site_fract_z
Si1 0.0000 0.0000 0.0000
Si2 0.0000 0.0000 0.0741
Si3 0.0000 0.0000 0.1482
Si4 0.0000 0.0000 0.2963
Si5 0.0000 0.0000 0.4074
Si6 0.0000 0.0000 0.5185
Si7 0.0000 0.0000 0.6297
Si8 0.0000 0.0000 0.7408
Si9 0.0000 0.0000 0.8519
Si10 0.3333 0.6667 0.1111
Si11 0.3333 0.6667 0.2222
Si12 0.3333 0.6667 0.3704
Si13 0.3333 0.6667 0.4445
Si14 0.3333 0.6667 0.5926
Si15 0.3333 0.6667 0.6667
Si16 0.3333 0.6667 0.8148
Si17 0.3333 0.6667 0.8889
Si18 0.3333 0.6667 0.9630
Si19 0.6667 0.3333 0.0371
Si20 0.6667 0.3333 0.1852
Si21 0.6667 0.3333 0.2593
Si22 0.6667 0.3333 0.3334
Si23 0.6667 0.3333 0.4815
Si24 0.6667 0.3333 0.5556
Si25 0.6667 0.3333 0.7037
Si26 0.6667 0.3333 0.7778
Si27 0.6667 0.3333 0.9259
C1 0.0000 0.0000 0.0278
C2 0.0000 0.0000 0.1018
C3 0.0000 0.0000 0.1760
C4 0.0000 0.0000 0.3242
C5 0.0000 0.0000 0.4353
C6 0.0000 0.0000 0.5464
C7 0.0000 0.0000 0.6575
C8 0.0000 0.0000 0.7686
C9 0.0000 0.0000 0.8797
C10 0.3333 0.6667 0.1390
C11 0.3333 0.6667 0.2501
C12 0.3333 0.6667 0.3982
C13 0.3333 0.6667 0.4723
C14 0.3333 0.6667 0.6204
C15 0.3333 0.6667 0.6945
C16 0.3333 0.6667 0.8426
C17 0.3333 0.6667 0.9167
C18 0.3333 0.6667 0.9908
C19 0.6667 0.3333 0.0649
C20 0.6667 0.3333 0.2130
C21 0.6667 0.3333 0.2870
C22 0.6667 0.3333 0.3611
C23 0.6667 0.3333 0.5093
C24 0.6667 0.3333 0.5834
C25 0.6667 0.3333 0.7315
C26 0.6667 0.3333 0.8056
C27 0.6667 0.3333 0.9538
```

---

No. 2
VASP calculation (PBE) on a relaxed structure of CdBr2O8.

Calculated values
- Crystal system: orthorhombic
- Spin magnetization: 4.0 μB/f.u.
- ΔE_f: -0.099 eV/atom

CIF file:
```
data_CdBr2O8
_chemical_formula_sum 'Cd4 Br8 O32'
_cell_length_a 6.215
_cell_length_b 9.361
_cell_length_c 12.664
_cell_angle_alpha 90.00
_cell_angle_beta 90.00
_cell_angle_gamma 90.00
_space_group_name_H-M_alt 'P 21 21 21'
_space_group_IT_number 19
_space_group_name_Hall 'P 2ac 2ab'
loop_
_atom_site_label
_atom_site_fract_x
_atom_site_fract_y
_atom_site_fract_z
Cd1 0.062 0.072 0.219
Br1 0.181 0.660 0.616
Br2 0.217 0.218 0.611
O1 0.073 0.778 0.200
O2 0.089 0.258 0.078
O3 0.105 0.766 0.717
O4 0.168 0.040 0.619
O5 0.178 0.758 0.991
O6 0.203 0.521 0.405
O7 0.237 0.984 0.367
O8 0.245 0.497 0.171
```

---

No. 3
VASP calculation (PBE) on a relaxed structure of SnH4.

Calculated values
- Crystal system: orthorhombic
- Spin magnetization: 0.0 μB/f.u.
- ΔE_f: 0.050 eV/atom

CIF file:
```
data_SnH4
_chemical_formula_sum 'Sn4 H16'
_cell_length_a 4.008
_cell_length_b 13.465
_cell_length_c 4.847
_cell_angle_alpha 90.00
_cell_angle_beta 90.00
_cell_angle_gamma 90.00
_space_group_name_H-M_alt 'C m c m'
_space_group_IT_number 63
_space_group_name_Hall '-C 2c 2'
loop_
_atom_site_label
_atom_site_fract_x
_atom_site_fract_y
_atom_site_fract_z
Sn1 0.000 0.227 0.250
H1 0.000 0.003 0.750
H2 0.000 0.059 0.750
H3 0.000 0.472 0.509
```